UNiH14O9F4 | Materials Project | PBE with a Hubbard U | relaxed; SG = No. 14; total DFT energy (no corrections) = -0.402 Ry/atom
1.0
-7.844 1.200 5.142
-2.878 -9.496 -2.174
5.423 -5.382 9.528
O Ni H F U
36 4 56 16 4
direct
0.586 0.853 0.874 O
0.769 0.705 0.539 O
0.414 0.147 0.126 O
0.638 0.815 0.239 O
0.402 0.835 0.360 O
0.353 0.443 0.638 O
0.895 0.654 0.249 O
0.029 0.597 0.661 O
0.744 0.437 0.171 O
0.720 0.090 0.372 O
0.220 0.910 0.128 O
0.971 0.403 0.339 O
0.731 0.705 0.039 O
0.598 0.165 0.640 O
0.853 0.557 0.862 O
0.780 0.090 0.872 O
0.471 0.597 0.161 O
0.105 0.346 0.751 O
0.244 0.563 0.329 O
0.231 0.295 0.461 O
0.395 0.346 0.251 O
0.147 0.443 0.138 O
0.862 0.815 0.739 O
0.269 0.295 0.961 O
0.756 0.437 0.671 O
0.914 0.853 0.374 O
0.362 0.185 0.761 O
0.098 0.835 0.860 O
0.086 0.147 0.626 O
0.902 0.165 0.140 O
0.256 0.563 0.829 O
0.605 0.654 0.749 O
0.647 0.557 0.362 O
0.529 0.403 0.839 O
0.280 0.910 0.628 O
0.138 0.185 0.261 O
0.683 0.628 0.199 Ni
0.817 0.628 0.699 Ni
0.183 0.372 0.301 Ni
0.317 0.372 0.801 Ni
0.347 0.074 0.144 H
0.946 0.499 0.329 H
0.663 0.756 0.989 H
0.719 0.387 0.109 H
0.163 0.244 0.511 H
0.178 0.607 0.786 H
0.959 0.669 0.185 H
0.054 0.501 0.671 H
0.689 0.766 0.542 H
0.097 0.266 0.710 H
0.100 0.386 0.091 H
0.446 0.501 0.171 H
0.455 0.176 0.727 H
0.189 0.234 0.958 H
0.955 0.824 0.773 H
0.600 0.614 0.409 H
0.219 0.613 0.391 H
0.459 0.331 0.315 H
0.645 0.887 0.177 H
0.281 0.613 0.891 H
0.900 0.614 0.909 H
0.005 0.895 0.392 H
0.045 0.176 0.227 H
0.617 0.465 0.388 H
0.145 0.113 0.323 H
0.403 0.266 0.210 H
0.597 0.734 0.790 H
0.837 0.756 0.489 H
0.117 0.535 0.112 H
0.153 0.074 0.644 H
0.576 0.361 0.907 H
0.541 0.669 0.685 H
0.822 0.393 0.214 H
0.337 0.244 0.011 H
0.041 0.331 0.815 H
0.545 0.824 0.273 H
0.311 0.234 0.458 H
0.355 0.113 0.823 H
0.847 0.926 0.356 H
0.383 0.535 0.612 H
0.322 0.607 0.286 H
0.653 0.926 0.856 H
0.400 0.386 0.591 H
0.883 0.465 0.888 H
0.855 0.887 0.677 H
0.554 0.499 0.829 H
0.781 0.387 0.609 H
0.495 0.895 0.892 H
0.505 0.105 0.108 H
0.424 0.639 0.093 H
0.678 0.393 0.714 H
0.811 0.766 0.042 H
0.903 0.734 0.290 H
0.995 0.105 0.608 H
0.924 0.361 0.407 H
0.076 0.639 0.593 H
0.173 0.708 0.489 F
0.827 0.292 0.511 F
0.673 0.292 0.011 F
0.081 0.092 0.957 F
0.346 0.981 0.915 F
0.327 0.708 0.989 F
0.947 0.323 0.931 F
0.581 0.908 0.543 F
0.846 0.019 0.585 F
0.419 0.092 0.457 F
0.154 0.981 0.415 F
0.053 0.677 0.069 F
0.654 0.019 0.085 F
0.919 0.908 0.043 F
0.447 0.677 0.569 F
0.553 0.323 0.431 F
0.339 0.870 0.495 U
0.161 0.870 0.995 U
0.661 0.130 0.505 U
0.839 0.130 0.005 U